No. 1
Crystalline Li2ScPCO7 at its relaxed geometry, computed with PBE.

```
24
Lattice="-5.2669 -3.6988 1.3571 2.6843 -2.5874 3.3658 -2.2509 5.4909 6.2297" Properties=species:S:1:pos:R:3 pbc="T T T"
O -1.6115 -4.6369 5.0172
O -4.3535 -1.0339 4.1954
O -3.2220 3.8416 5.9353
O -0.7411 -1.1662 1.9152
O -0.8725 -1.9067 5.4338
O -3.6372 -1.1733 6.5955
O -4.0925 0.3709 9.0374
O -5.9591 -0.2917 6.0336
O -3.9611 1.1114 5.5188
O -0.4801 0.2387 6.7571
O -1.1963 0.3780 4.3571
O -1.9708 2.5254 7.2040
O 1.1255 -0.5036 4.9190
O -2.8627 -3.3207 3.7485
P -0.3467 -0.4645 5.3583
P -4.4868 -0.3308 5.5943
C -2.0896 -4.3941 3.8235
C -2.7439 3.5988 7.1291
Sc -2.6584 -2.8557 5.8088
Sc -2.1752 2.0605 5.1438
Li -4.9321 -1.4067 8.8293
Li -2.3232 0.4254 8.1571
Li -2.5104 -1.2207 2.7955
Li 0.0985 0.6114 2.1232
```

## Properties
- DFT formation energy (eV/atom) = -2.754

***

No. 2
Crystalline YMg at its relaxed geometry, computed with PBE.

```
6
Lattice="4.7449 -1.0949 4.1293 6.0950 -1.6439 0.9548 4.5012 6.9517 0.7123" Properties=species:S:1:pos:R:3 pbc="T T T"
Mg 7.6279 0.0616 3.2337
Mg 10.8459 -2.7043 5.0807
Mg 10.3940 3.0513 3.8931
Y 13.1366 1.4206 5.3416
Y 4.9285 1.6277 1.8147
Y 7.3734 5.7407 2.1433
```

## Properties
- DFT formation energy (eV/atom) = -0.002

***

No. 3
Crystalline Tm2ZnIr at its relaxed geometry, computed with PBE.

```
4
Lattice="0.0000 3.4374 3.4374 3.4374 0.0000 3.4374 3.4374 3.4374 0.0000" Properties=species:S:1:pos:R:3 pbc="T T T"
Tm 5.1560 5.1560 5.1560
Tm 1.7187 1.7187 1.7187
Zn 0.0000 0.0000 0.0000
Ir 3.4374 3.4374 3.4374
```

## Properties
- DFT formation energy (eV/atom) = -0.692

***

No. 4
Crystalline Na3PH24SO15 at its relaxed geometry, computed with PBE.

```
88
Lattice="12.9530 -4.6371 0.0000 12.9530 4.6371 0.0000 11.2929 0.0000 7.8583" Properties=species:S:1:pos:R:3 pbc="T T T"
H 22.1996 -0.8484 0.9299
H 13.1724 -1.4724 6.1840
H 14.2916 -2.7383 1.5280
H 14.4678 -2.1458 0.0524
H 13.8672 2.3660 4.6391
H 16.4263 -0.8498 6.2219
H 22.2123 1.3210 2.8322
H 21.2109 3.6100 5.6098
H 17.3810 -2.8491 4.3270
H 7.8198 -2.2744 0.6433
H 13.9406 3.6182 2.5476
H 18.0897 0.8694 0.9720
H 29.2779 1.9919 7.6938
H 19.7857 -1.9067 6.3079
H 23.2582 3.6182 5.3107
H 14.8094 0.2656 0.1795
H 24.0264 -1.4724 1.6743
H 22.9073 -2.7383 6.3303
H 22.8694 2.6326 6.5094
H 14.3294 2.6326 1.3489
H 23.2365 -2.6316 3.6693
H 17.1089 2.7565 2.9906
H 23.8497 0.1057 1.8690
H 15.3144 -2.2367 3.4743
H 20.7725 -0.8498 1.6365
H 30.0921 0.2825 3.8395
H 13.9623 -2.6316 4.1890
H 22.7311 -2.1458 7.8060
H 14.9866 1.3210 5.0261
H 19.1091 0.8694 6.8863
H 21.8845 -2.2367 4.3840
H 19.8179 -2.8491 3.5314
H 29.3791 -2.2744 7.2151
H 7.1067 0.2825 4.0188
H 23.3316 2.3660 3.2192
H 7.9209 1.9919 0.1645
H 16.2916 -2.7616 0.8108
H 17.0697 1.9797 5.8003
H 17.4132 -1.9067 1.5505
H 14.9993 -0.8484 6.9284
H 20.0899 2.7565 4.8677
H 15.9879 3.6100 2.2485
H 15.7873 0.9157 1.2358
H 21.4116 0.9157 6.6226
H 22.3895 0.2656 7.6789
H 20.1291 1.9797 2.0580
H 13.3491 0.1057 5.9893
H 20.9072 -2.7616 7.0475
Na 13.9974 0.0000 2.9570
Na 5.6494 0.0000 1.1935
Na 23.2015 0.0000 4.9014
Na 28.4787 0.0000 6.0162
Na 8.7201 0.0000 1.8421
Na 31.5494 0.0000 6.6649
O 14.8352 0.7990 1.0496
O 17.1893 -3.7562 4.6391
O 10.7630 1.3998 2.3207
O 23.7175 -0.6441 1.2503
O 22.8529 -2.1657 4.4928
O 11.0278 -0.6601 1.0672
O 26.1710 -0.6601 6.7912
O 20.2473 3.6493 5.2446
O 13.4814 -0.6441 6.6080
O 22.4616 -2.8639 7.1952
O 26.6721 -0.7397 4.4191
O 22.3636 0.7990 6.8088
O 14.5067 3.5080 1.7547
O 19.8875 -2.6443 6.9477
O 17.3114 -2.6443 0.9106
O 16.0049 -1.0050 7.0949
O 18.1674 1.0241 0.0092
O 14.7373 -2.8639 0.6631
O 19.0315 1.0241 7.8491
O 26.4358 1.3998 5.5376
O 22.6922 3.5080 6.1036
O 23.1389 1.3667 3.1387
O 16.8227 2.7321 6.3746
O 21.1939 -1.0050 0.7634
O 14.0599 1.3667 4.7197
O 20.3762 2.7321 1.4837
O 14.3460 -2.1657 3.3656
O 16.9516 3.6493 2.6137
O 20.0096 -3.7562 3.2192
O 10.5267 -0.7397 3.4393
S 11.3977 0.0000 2.4078
S 25.8012 0.0000 5.4506
P 17.5798 0.0000 3.7138
P 19.6191 0.0000 4.1446
```

## Properties
- DFT formation energy (eV/atom) = -1.268

***

No. 5
Crystalline Al3W3C4 at its relaxed geometry, computed with PBE.

```
10
Lattice="2.8351 0.0000 0.0000 0.0000 2.9463 0.0000 0.0000 0.0000 14.5713" Properties=species:S:1:pos:R:3 pbc="T T T"
C 1.4176 0.0000 9.1429
C 1.4176 0.0000 4.0758
C 1.4176 1.4732 6.5304
C 1.4176 1.4732 1.5009
Al 0.0000 0.0000 12.1383
Al 0.0000 0.0000 7.2504
Al 0.0000 1.4732 9.6494
W 0.0000 1.4732 14.4392
W 0.0000 0.0000 2.4049
W 0.0000 1.4732 4.9150
```

## Properties
- DFT formation energy (eV/atom) = 0.394

***

No. 6
Crystalline LiMg6BO7 at its relaxed geometry, computed with PBE.

```
15
Lattice="8.1206 0.0000 0.0000 0.0000 4.2784 0.0000 0.0000 0.0000 4.2784" Properties=species:S:1:pos:R:3 pbc="T T T"
O 0.0335 0.0000 2.1392
O 2.0717 2.1392 2.1392
O 4.0796 2.1392 0.0000
O 6.1155 2.1392 2.1392
O 0.0335 2.1392 0.0000
O 4.0796 0.0000 2.1392
O 5.5879 0.0000 0.0000
Mg 2.1011 2.1392 0.0000
Mg 6.0965 2.1392 0.0000
Mg 4.0905 2.1392 2.1392
Mg 0.0347 2.1392 2.1392
Mg 6.0965 0.0000 2.1392
Mg 2.1011 0.0000 2.1392
B 4.1469 0.0000 0.0000
Li 0.0245 0.0000 0.0000
```

## Properties
- DFT formation energy (eV/atom) = -2.447
- energy relative to the lowest polymorph listed for this composition (eV per atom) = 0.000

***

No. 7
Crystalline Hg3N2Cl6 at its relaxed geometry, computed with PBE.

```
22
Lattice="5.5436 0.0000 0.0000 0.0000 8.1481 0.0000 0.0000 0.0000 12.6780" Properties=species:S:1:pos:R:3 pbc="T T T"
Hg 0.0000 2.8448 4.7024
Hg 2.7718 2.8448 1.6366
Hg 0.0000 5.3033 7.9756
Hg 2.7718 0.0000 6.3390
Hg 0.0000 0.0000 0.0000
Hg 2.7718 5.3033 11.0414
N 0.0000 6.7386 1.6266
N 2.7718 6.7386 4.7125
N 2.7718 1.4095 7.9656
N 0.0000 1.4095 11.0515
Cl 2.7718 5.3796 7.9159
Cl 0.0000 0.4488 4.6127
Cl 0.0000 7.6993 8.0653
Cl 2.7718 7.6993 10.9518
Cl 2.7718 2.9186 11.1074
Cl 2.7718 0.4488 1.7263
Cl 0.0000 2.7685 1.5769
Cl 0.0000 5.3796 11.1012
Cl 0.0000 2.9186 7.9096
Cl 2.7718 5.2295 1.5706
Cl 2.7718 2.7685 4.7621
Cl 0.0000 5.2295 4.7684
```

## Properties
- DFT formation energy (eV/atom) = 0.226

***

No. 8
Crystalline K2SIO7 at its relaxed geometry, computed with PBE.

```
44
Lattice="7.2570 0.0000 0.0000 0.0000 7.5996 0.0000 0.0000 6.4274 14.1394" Properties=species:S:1:pos:R:3 pbc="T T T"
O 0.4389 8.5053 2.4337
O 1.5549 8.4700 12.3487
O 2.1491 10.4816 7.1703
O 5.7020 5.5569 1.7907
O 6.8180 5.5216 11.7057
O 6.0331 4.1066 3.7014
O 4.5722 11.9936 13.0517
O 3.9859 6.7997 5.2077
O 5.7776 6.7590 14.0388
O 0.9438 5.2470 8.1574
O 4.8524 7.3203 10.7711
O 6.8995 10.0133 12.2774
O 2.4046 6.7066 3.3683
O 5.3612 3.1598 1.5461
O 2.6847 2.0333 1.0877
O 5.1834 8.7706 8.8604
O 3.1896 11.7190 9.5034
O 0.3574 4.0136 1.8620
O 6.3132 8.7799 5.9820
O 4.0674 2.3079 4.6360
O 5.1079 3.5453 6.9691
O 1.7327 7.6535 5.5236
O 1.8957 10.8671 12.5933
O 2.0735 5.2563 5.2790
O 1.4794 7.2679 0.1006
O 3.2710 7.2273 8.9317
O 1.2239 9.9203 10.4380
O 5.5242 6.3734 8.6158
K 6.0739 11.4307 9.6138
K 2.4454 5.8099 11.5953
K 4.8116 8.2170 2.5441
K 6.3990 5.8140 5.9208
K 4.4865 9.0277 12.9905
K 2.7705 4.9992 1.1489
K 0.8580 8.2129 8.2186
K 1.1831 2.5962 4.5256
I 1.0389 1.3254 0.7531
I 2.5896 4.5391 7.8228
I 6.2181 12.7015 13.3863
I 4.6674 9.4878 6.3166
S 1.0791 9.8323 11.9199
S 4.7076 7.4083 9.2892
S 6.1778 4.1946 2.2195
S 2.5493 6.6186 4.8502
```

## Properties
- DFT formation energy (eV/atom) = -1.646

***

No. 9
Crystalline Zr3SiMo8 at its relaxed geometry, computed with PBE.

```
12
Lattice="2.6824 -4.6460 0.0000 2.6824 4.6460 0.0000 0.0000 0.0000 8.5969" Properties=species:S:1:pos:R:3 pbc="T T T"
Mo 2.6824 1.5487 8.5689
Mo 2.6824 1.5487 4.2811
Mo 2.6824 -0.0364 6.4049
Mo 4.0566 0.7553 2.1857
Mo 3.9920 -2.3048 6.4049
Mo 1.3081 0.7553 2.1857
Mo 1.3727 -2.3048 6.4049
Mo 2.6824 3.1355 2.1857
Si 0.0000 0.0000 4.8547
Zr 2.6824 -1.5487 0.5300
Zr 2.6824 -1.5487 3.8175
Zr 0.0000 0.0000 8.0553
```

## Properties
- DFT formation energy (eV/atom) = 0.019

***

No. 10
Crystalline NaSrBO3 at its relaxed geometry, computed with PBE.

```
24
Lattice="9.3374 0.0000 0.0000 0.0000 5.3933 0.0000 0.0000 1.0910 6.0300" Properties=species:S:1:pos:R:3 pbc="T T T"
Sr 5.4816 2.1866 4.7328
Sr 0.8129 4.8432 4.3122
Sr 8.5245 1.6411 1.7178
Sr 3.8558 4.2977 1.2972
O 6.0222 2.6858 2.2257
O 8.7714 4.2453 1.8874
O 7.8883 0.9853 4.3407
O 4.1027 1.6935 1.1276
O 0.5660 2.2390 4.1426
O 5.2347 4.7908 4.9024
O 1.3535 3.2529 0.7893
O 3.2196 6.0444 4.7043
O 6.1178 0.4398 1.3257
O 3.3152 3.7984 3.8043
O 7.9839 3.2313 5.2407
O 1.4491 5.4989 1.6893
B 0.7446 4.3249 1.4300
B 8.5928 2.1593 4.6000
B 3.9241 4.8704 4.4450
B 5.4133 1.6138 1.5850
Na 2.4168 1.8907 2.8030
Na 7.0855 4.0480 0.2120
Na 6.9206 4.5935 3.2270
Na 2.2519 2.4362 5.8180
```

## Properties
- DFT formation energy (eV/atom) = -2.885

***

No. 11
Crystalline BaZrNbInO6 at its relaxed geometry, computed with PBE.

```
10
Lattice="0.0000 -4.1807 -4.1807 4.1807 0.0000 -4.1807 4.1807 -4.1807 0.0000" Properties=species:S:1:pos:R:3 pbc="T T T"
In 2.0903 -2.0903 -2.0903
O 4.1807 -6.3241 -4.1807
O 4.1807 -2.0372 -4.1807
O 6.3241 -4.1807 -4.1807
O 4.1807 -4.1807 -6.3241
O 2.0372 -4.1807 -4.1807
O 4.1807 -4.1807 -2.0372
Ba 6.2710 -6.2710 -6.2710
Zr 4.1807 -4.1807 -4.1807
Nb 0.0000 0.0000 0.0000
```

## Properties
- DFT formation energy (eV/atom) = -3.002

***

no.,calculated volume (Å³/cell)
1,284.2
2,168.5
3,81.2
4,944.0
5,121.7
6,148.6
7,572.7
8,779.8
9,214.3
10,303.7
11,146.1